Material: Pr3Er
Method: DFT, meta-GGA r2SCAN
State: relaxed

offset from the most stable computed form = 3 meV/atom
space group = I4/mmm
calculated density = 7028 kg/m3
energy = -30.491 eV/atom

a = 6.315 Å, b = 6.315 Å, c = 6.315 Å
α = 131.24°, β = 131.24°, γ = 71.44°
Atoms (fractional coordinates):
Pr (0.750, 0.250, 0.500)
Pr (0.250, 0.750, 0.500)
Pr (0.500, 0.500, 0.000)
Er (0.000, 0.000, 0.000)